# BaAl2Ga2 (PBE, relaxed)
# Space-group type ... I4/mmm, No. 139
data_BaAl2Ga2
_cell_length_a 6.4883
_cell_length_b 6.4883
_cell_length_c 6.4883
_cell_angle_alpha 139.13
_cell_angle_beta 139.13
_cell_angle_gamma 59.18
_symmetry_space_group_name_H-M 'P 1'
_symmetry_Int_Tables_number 1
loop_
_symmetry_equiv_pos_as_xyz
'x,y,z'
loop_
_atom_site_label
_atom_site_type_symbol
_atom_site_fract_x
_atom_site_fract_y
_atom_site_fract_z
Ba1 Ba 0.0000 0.0000 0.0000
Al1 Al 0.2500 0.7500 0.5000
Al2 Al 0.7500 0.2500 0.5000
Ga1 Ga 0.3782 0.3782 0.0000
Ga2 Ga 0.6218 0.6218 0.0000

=====

# Cs3LaBr6 (PBE, relaxed)
# Space-group type ... P2_1/c, No. 14
data_Cs3LaBr6
_cell_length_a 14.9797
_cell_length_b 8.8927
_cell_length_c 14.2695
_cell_angle_alpha 90.00
_cell_angle_beta 107.88
_cell_angle_gamma 90.00
_symmetry_space_group_name_H-M 'P 1'
_symmetry_Int_Tables_number 1
loop_
_symmetry_equiv_pos_as_xyz
'x,y,z'
loop_
_atom_site_label
_atom_site_type_symbol
_atom_site_fract_x
_atom_site_fract_y
_atom_site_fract_z
Cs1 Cs 0.0979 0.0346 0.3589
Cs2 Cs 0.0979 0.4654 0.8589
Cs3 Cs 0.3154 0.5653 0.2656
Cs4 Cs 0.3154 0.9347 0.7656
Cs5 Cs 0.3208 0.0671 0.1128
Cs6 Cs 0.3208 0.4329 0.6128
Cs7 Cs 0.6792 0.5671 0.3872
Cs8 Cs 0.6792 0.9329 0.8872
Cs9 Cs 0.6846 0.0653 0.2344
Cs10 Cs 0.6846 0.4347 0.7344
Cs11 Cs 0.9021 0.5346 0.1411
Cs12 Cs 0.9021 0.9654 0.6411
La1 La 0.0000 0.0000 0.0000
La2 La 0.0000 0.5000 0.5000
La3 La 0.5000 0.0000 0.5000
La4 La 0.5000 0.5000 0.0000
Br1 Br 0.0992 0.2230 0.5968
Br2 Br 0.0992 0.2770 0.0968
Br3 Br 0.1192 0.5007 0.3721
Br4 Br 0.1192 0.9993 0.8721
Br5 Br 0.1334 0.6819 0.6504
Br6 Br 0.1334 0.8181 0.1504
Br7 Br 0.3470 0.7040 0.0055
Br8 Br 0.3470 0.7960 0.5055
Br9 Br 0.3498 0.2104 0.3948
Br10 Br 0.3498 0.2896 0.8948
Br11 Br 0.5000 0.1393 0.6891
Br12 Br 0.5000 0.3607 0.1891
Br13 Br 0.5000 0.6393 0.8109
Br14 Br 0.5000 0.8607 0.3109
Br15 Br 0.6502 0.7104 0.1052
Br16 Br 0.6502 0.7896 0.6052
Br17 Br 0.6530 0.2040 0.4945
Br18 Br 0.6530 0.2960 0.9945
Br19 Br 0.8666 0.1819 0.8496
Br20 Br 0.8666 0.3181 0.3496
Br21 Br 0.8808 0.0007 0.1279
Br22 Br 0.8808 0.4993 0.6279
Br23 Br 0.9008 0.7230 0.9032
Br24 Br 0.9008 0.7770 0.4032

=====

# SmFe2Si2 (PBE, relaxed)
# Space-group type ... I4/mmm, No. 139
data_SmFe2Si2
_cell_length_a 5.5849
_cell_length_b 5.5849
_cell_length_c 5.5849
_cell_angle_alpha 138.01
_cell_angle_beta 138.01
_cell_angle_gamma 60.89
_symmetry_space_group_name_H-M 'P 1'
_symmetry_Int_Tables_number 1
loop_
_symmetry_equiv_pos_as_xyz
'x,y,z'
loop_
_atom_site_label
_atom_site_type_symbol
_atom_site_fract_x
_atom_site_fract_y
_atom_site_fract_z
Sm1 Sm 0.0000 0.0000 0.0000
Fe1 Fe 0.2500 0.7500 0.5000
Fe2 Fe 0.7500 0.2500 0.5000
Si1 Si 0.3622 0.3622 0.0000
Si2 Si 0.6378 0.6378 0.0000

=====

# VCu13SnAs2S16 (PBE, relaxed)
# Total magnetization ... 0.0 μB per formula unit
# Space-group type ... P222_1, No. 17
data_VCu13SnAs2S16
_cell_length_a 10.7022
_cell_length_b 10.7036
_cell_length_c 21.4279
_cell_angle_alpha 90.00
_cell_angle_beta 90.00
_cell_angle_gamma 90.00
_symmetry_space_group_name_H-M 'P 1'
_symmetry_Int_Tables_number 1
loop_
_symmetry_equiv_pos_as_xyz
'x,y,z'
loop_
_atom_site_label
_atom_site_type_symbol
_atom_site_fract_x
_atom_site_fract_y
_atom_site_fract_z
V1 V 0.0001 0.0000 0.0000
V2 V 0.9999 0.0000 0.5000
V3 V 0.5000 0.4995 0.2500
V4 V 0.5000 0.5005 0.7500
Cu1 Cu 0.0007 0.0011 0.3721
Cu2 Cu 0.0010 0.2558 0.9997
Cu3 Cu 0.0010 0.7442 0.0003
Cu4 Cu 0.0007 0.9989 0.6279
Cu5 Cu 0.0021 0.5003 0.1249
Cu6 Cu 0.0021 0.4997 0.8751
Cu7 Cu 0.2443 0.4990 0.2498
Cu8 Cu 0.2443 0.5010 0.7502
Cu9 Cu 0.2504 0.2480 0.6252
Cu10 Cu 0.2499 0.2500 0.1250
Cu11 Cu 0.2499 0.7500 0.8750
Cu12 Cu 0.2504 0.7520 0.3748
Cu13 Cu 0.2509 0.0009 0.2505
Cu14 Cu 0.2509 0.2486 0.3746
Cu15 Cu 0.2508 0.2510 0.8758
Cu16 Cu 0.2508 0.7490 0.1242
Cu17 Cu 0.2509 0.7514 0.6254
Cu18 Cu 0.2509 0.9991 0.7495
Cu19 Cu 0.2565 0.0000 0.0000
Cu20 Cu 0.2567 0.0000 0.5000
Cu21 Cu 0.4994 0.2491 0.0006
Cu22 Cu 0.4992 0.4996 0.1222
Cu23 Cu 0.4992 0.5004 0.8778
Cu24 Cu 0.4994 0.7509 0.9994
Cu25 Cu 0.5000 0.2435 0.2500
Cu26 Cu 0.5000 0.2436 0.7500
Cu27 Cu 0.5000 0.7564 0.2500
Cu28 Cu 0.5000 0.7565 0.7500
Cu29 Cu 0.5006 0.2491 0.4994
Cu30 Cu 0.5008 0.4996 0.3778
Cu31 Cu 0.5008 0.5004 0.6222
Cu32 Cu 0.5006 0.7509 0.5006
Cu33 Cu 0.7433 0.0000 0.0000
Cu34 Cu 0.7435 0.0000 0.5000
Cu35 Cu 0.7491 0.0009 0.2495
Cu36 Cu 0.7491 0.2486 0.1254
Cu37 Cu 0.7492 0.2510 0.6242
Cu38 Cu 0.7492 0.7490 0.3758
Cu39 Cu 0.7491 0.7514 0.8746
Cu40 Cu 0.7491 0.9991 0.7505
Cu41 Cu 0.7496 0.2480 0.8748
Cu42 Cu 0.7501 0.2500 0.3750
Cu43 Cu 0.7501 0.7500 0.6250
Cu44 Cu 0.7496 0.7520 0.1252
Cu45 Cu 0.7557 0.4990 0.2502
Cu46 Cu 0.7557 0.5010 0.7498
Cu47 Cu 0.9979 0.5003 0.3751
Cu48 Cu 0.9979 0.4997 0.6249
Cu49 Cu 0.9993 0.0011 0.1279
Cu50 Cu 0.9990 0.2558 0.5003
Cu51 Cu 0.9990 0.7442 0.4997
Cu52 Cu 0.9993 0.9989 0.8721
Sn1 Sn 0.0000 0.2502 0.7500
Sn2 Sn 0.0000 0.7498 0.2500
Sn3 Sn 0.2501 0.5000 0.5000
Sn4 Sn 0.7499 0.5000 0.0000
As1 As 0.0000 0.2498 0.2500
As2 As 0.0000 0.7502 0.7500
As3 As 0.2497 0.5000 0.0000
As4 As 0.4998 0.9997 0.1250
As5 As 0.5002 0.9997 0.3750
As6 As 0.5002 0.0003 0.6250
As7 As 0.4998 0.0003 0.8750
As8 As 0.7503 0.5000 0.5000
S1 S 0.1202 0.1204 0.5603
S2 S 0.1202 0.8796 0.4397
S3 S 0.1207 0.1204 0.0597
S4 S 0.1209 0.3687 0.4331
S5 S 0.1209 0.6313 0.5669
S6 S 0.1207 0.8796 0.9403
S7 S 0.1243 0.3722 0.1865
S8 S 0.1243 0.6278 0.8135
S9 S 0.1279 0.1270 0.3114
S10 S 0.1278 0.3764 0.9355
S11 S 0.1278 0.6236 0.0645
S12 S 0.1279 0.8730 0.6886
S13 S 0.1304 0.3790 0.6825
S14 S 0.1304 0.6210 0.3175
S15 S 0.1348 0.1209 0.8153
S16 S 0.1348 0.8791 0.1847
S17 S 0.3719 0.1223 0.6864
S18 S 0.3722 0.3719 0.0619
S19 S 0.3722 0.6281 0.9381
S20 S 0.3719 0.8777 0.3136
S21 S 0.3731 0.1243 0.1859
S22 S 0.3731 0.8757 0.8141
S23 S 0.3769 0.1266 0.9363
S24 S 0.3766 0.1283 0.4360
S25 S 0.3766 0.8717 0.5640
S26 S 0.3769 0.8734 0.0637
S27 S 0.3790 0.3800 0.8097
S28 S 0.3790 0.6200 0.1903
S29 S 0.3801 0.3654 0.5648
S30 S 0.3804 0.3793 0.3103
S31 S 0.3804 0.6207 0.6897
S32 S 0.3801 0.6346 0.4352
S33 S 0.6199 0.3654 0.9352
S34 S 0.6196 0.3793 0.1897
S35 S 0.6196 0.6207 0.8103
S36 S 0.6199 0.6346 0.0648
S37 S 0.6210 0.3800 0.6903
S38 S 0.6210 0.6200 0.3097
S39 S 0.6231 0.1266 0.5637
S40 S 0.6234 0.1283 0.0640
S41 S 0.6234 0.8717 0.9360
S42 S 0.6231 0.8734 0.4363
S43 S 0.6269 0.1243 0.3141
S44 S 0.6269 0.8757 0.6859
S45 S 0.6281 0.1223 0.8136
S46 S 0.6278 0.3719 0.4381
S47 S 0.6278 0.6281 0.5619
S48 S 0.6281 0.8777 0.1864
S49 S 0.8652 0.1209 0.6847
S50 S 0.8652 0.8791 0.3153
S51 S 0.8696 0.3790 0.8175
S52 S 0.8696 0.6210 0.1825
S53 S 0.8721 0.1270 0.1886
S54 S 0.8722 0.3764 0.5645
S55 S 0.8722 0.6236 0.4355
S56 S 0.8721 0.8730 0.8114
S57 S 0.8757 0.3722 0.3135
S58 S 0.8757 0.6278 0.6865
S59 S 0.8793 0.1204 0.4403
S60 S 0.8791 0.3687 0.0669
S61 S 0.8791 0.6313 0.9331
S62 S 0.8793 0.8796 0.5597
S63 S 0.8798 0.1204 0.9397
S64 S 0.8798 0.8796 0.0603

=====

# MnSb2S4 (PBE, relaxed)
# Total magnetization ... 5.0 μB per formula unit
# Space-group type ... C2/m, No. 12
data_MnSb2S4
_cell_length_a 6.6218
_cell_length_b 6.6218
_cell_length_c 15.5028
_cell_angle_alpha 112.63
_cell_angle_beta 112.63
_cell_angle_gamma 33.61
_symmetry_space_group_name_H-M 'P 1'
_symmetry_Int_Tables_number 1
loop_
_symmetry_equiv_pos_as_xyz
'x,y,z'
loop_
_atom_site_label
_atom_site_type_symbol
_atom_site_fract_x
_atom_site_fract_y
_atom_site_fract_z
Mn1 Mn 0.0000 0.0000 0.0000
Mn2 Mn 0.0000 0.0000 0.5000
Sb1 Sb 0.2316 0.2316 0.8758
Sb2 Sb 0.3540 0.3540 0.6266
Sb3 Sb 0.6460 0.6460 0.3734
Sb4 Sb 0.7684 0.7684 0.1242
S1 S 0.0058 0.0058 0.6633
S2 S 0.1582 0.1582 0.1667
S3 S 0.3453 0.3453 0.4627
S4 S 0.3865 0.3865 0.0395
S5 S 0.6135 0.6135 0.9605
S6 S 0.6547 0.6547 0.5373
S7 S 0.8418 0.8418 0.8333
S8 S 0.9942 0.9942 0.3367

=====

# BaC2O4 (PBE, relaxed)
# Total magnetization ... 2.0 μB per formula unit
# Space-group type ... P2_12_12_1, No. 19
data_BaC2O4
_cell_length_a 6.9808
_cell_length_b 7.8401
_cell_length_c 9.0126
_cell_angle_alpha 90.00
_cell_angle_beta 90.00
_cell_angle_gamma 90.00
_symmetry_space_group_name_H-M 'P 1'
_symmetry_Int_Tables_number 1
loop_
_symmetry_equiv_pos_as_xyz
'x,y,z'
loop_
_atom_site_label
_atom_site_type_symbol
_atom_site_fract_x
_atom_site_fract_y
_atom_site_fract_z
Ba1 Ba 0.0876 0.2076 0.3263
Ba2 Ba 0.4124 0.7924 0.8263
Ba3 Ba 0.5876 0.2924 0.6737
Ba4 Ba 0.9124 0.7076 0.1737
C1 C 0.0826 0.1324 0.7048
C2 C 0.2487 0.6355 0.4908
C3 C 0.2513 0.3645 0.9908
C4 C 0.4174 0.8676 0.2048
C5 C 0.5826 0.3676 0.2952
C6 C 0.7487 0.8645 0.5092
C7 C 0.7513 0.1355 0.0092
C8 C 0.9174 0.6324 0.7952
O1 O 0.0238 0.7319 0.8654
O2 O 0.1315 0.4214 0.0822
O3 O 0.1503 0.5649 0.3926
O4 O 0.2487 0.0800 0.6763
O5 O 0.2513 0.9200 0.1763
O6 O 0.3497 0.4351 0.8926
O7 O 0.3685 0.5786 0.5822
O8 O 0.4762 0.2681 0.3654
O9 O 0.5238 0.7681 0.1346
O10 O 0.6315 0.0786 0.9178
O11 O 0.6503 0.9351 0.6074
O12 O 0.7487 0.4200 0.3237
O13 O 0.7513 0.5800 0.8237
O14 O 0.8497 0.0649 0.1074
O15 O 0.8685 0.9214 0.4178
O16 O 0.9762 0.2319 0.6346

=====

# UH2Cl2O3 (PBE, relaxed)
# Total magnetization ... 0.0 μB per formula unit
# Space-group type ... P2_1/m, No. 11
data_UH2Cl2O3
_cell_length_a 5.9944
_cell_length_b 8.6905
_cell_length_c 6.3676
_cell_angle_alpha 90.00
_cell_angle_beta 103.07
_cell_angle_gamma 90.00
_symmetry_space_group_name_H-M 'P 1'
_symmetry_Int_Tables_number 1
loop_
_symmetry_equiv_pos_as_xyz
'x,y,z'
loop_
_atom_site_label
_atom_site_type_symbol
_atom_site_fract_x
_atom_site_fract_y
_atom_site_fract_z
U1 U 0.0809 0.2500 0.0841
U2 U 0.9191 0.7500 0.9159
H1 H 0.4578 0.1605 0.5015
H2 H 0.4578 0.3395 0.5015
H3 H 0.5422 0.6605 0.4985
H4 H 0.5422 0.8395 0.4985
Cl1 Cl 0.1867 0.5532 0.2211
Cl2 Cl 0.1867 0.9468 0.2211
Cl3 Cl 0.8133 0.0532 0.7789
Cl4 Cl 0.8133 0.4468 0.7789
O1 O 0.1358 0.7500 0.7644
O2 O 0.3001 0.2500 0.9359
O3 O 0.3773 0.2500 0.4286
O4 O 0.6227 0.7500 0.5714
O5 O 0.6999 0.7500 0.0641
O6 O 0.8642 0.2500 0.2356

=====

# Sr2SmNbO6 (PBE, relaxed)
# Total magnetization ... 0.0 μB per formula unit
# Space-group type ... Pn-3, No. 201
data_Sr2SmNbO6
_cell_length_a 8.4694
_cell_length_b 8.4694
_cell_length_c 8.4694
_cell_angle_alpha 90.00
_cell_angle_beta 90.00
_cell_angle_gamma 90.00
_symmetry_space_group_name_H-M 'P 1'
_symmetry_Int_Tables_number 1
loop_
_symmetry_equiv_pos_as_xyz
'x,y,z'
loop_
_atom_site_label
_atom_site_type_symbol
_atom_site_fract_x
_atom_site_fract_y
_atom_site_fract_z
Sr1 Sr 0.2500 0.2500 0.2500
Sr2 Sr 0.2500 0.2500 0.7500
Sr3 Sr 0.2500 0.7500 0.2500
Sr4 Sr 0.2500 0.7500 0.7500
Sr5 Sr 0.7500 0.2500 0.2500
Sr6 Sr 0.7500 0.2500 0.7500
Sr7 Sr 0.7500 0.7500 0.2500
Sr8 Sr 0.7500 0.7500 0.7500
Sm1 Sm 0.0000 0.0000 0.0000
Sm2 Sm 0.0000 0.5000 0.5000
Sm3 Sm 0.5000 0.0000 0.5000
Sm4 Sm 0.5000 0.5000 0.0000
Nb1 Nb 0.0000 0.0000 0.5000
Nb2 Nb 0.0000 0.5000 0.0000
Nb3 Nb 0.5000 0.0000 0.0000
Nb4 Nb 0.5000 0.5000 0.5000
O1 O 0.0347 0.5434 0.7668
O2 O 0.0347 0.9566 0.7332
O3 O 0.0434 0.2332 0.5347
O4 O 0.0434 0.2668 0.9653
O5 O 0.2332 0.5347 0.0434
O6 O 0.2332 0.9653 0.4566
O7 O 0.2668 0.5347 0.4566
O8 O 0.2668 0.9653 0.0434
O9 O 0.4566 0.2332 0.9653
O10 O 0.4566 0.2668 0.5347
O11 O 0.4653 0.5434 0.7332
O12 O 0.4653 0.9566 0.7668
O13 O 0.5347 0.0434 0.2332
O14 O 0.5347 0.4566 0.2668
O15 O 0.5434 0.7332 0.4653
O16 O 0.5434 0.7668 0.0347
O17 O 0.7332 0.0347 0.9566
O18 O 0.7332 0.4653 0.5434
O19 O 0.7668 0.0347 0.5434
O20 O 0.7668 0.4653 0.9566
O21 O 0.9566 0.7332 0.0347
O22 O 0.9566 0.7668 0.4653
O23 O 0.9653 0.0434 0.2668
O24 O 0.9653 0.4566 0.2332

=====

# UGaCu (PBE, relaxed)
# Total magnetization ... 2.7 μB per formula unit
# Space-group type ... P6_3/mmc, No. 194
data_UGaCu
_cell_length_a 4.6403
_cell_length_b 4.6403
_cell_length_c 5.6606
_cell_angle_alpha 90.00
_cell_angle_beta 90.00
_cell_angle_gamma 120.00
_symmetry_space_group_name_H-M 'P 1'
_symmetry_Int_Tables_number 1
loop_
_symmetry_equiv_pos_as_xyz
'x,y,z'
loop_
_atom_site_label
_atom_site_type_symbol
_atom_site_fract_x
_atom_site_fract_y
_atom_site_fract_z
U1 U 0.0000 0.0000 0.0000
U2 U 0.0000 0.0000 0.5000
Ga1 Ga 0.3333 0.6667 0.2500
Ga2 Ga 0.6667 0.3333 0.7500
Cu1 Cu 0.3333 0.6667 0.7500
Cu2 Cu 0.6667 0.3333 0.2500

=====

# Sr2LaI7 (PBE, relaxed)
# Total magnetization ... 0.1 μB per formula unit
# Space-group type ... P2_1, No. 4
data_Sr2LaI7
_cell_length_a 8.3923
_cell_length_b 14.8028
_cell_length_c 15.2873
_cell_angle_alpha 90.00
_cell_angle_beta 100.23
_cell_angle_gamma 90.00
_symmetry_space_group_name_H-M 'P 1'
_symmetry_Int_Tables_number 1
loop_
_symmetry_equiv_pos_as_xyz
'x,y,z'
loop_
_atom_site_label
_atom_site_type_symbol
_atom_site_fract_x
_atom_site_fract_y
_atom_site_fract_z
Sr1 Sr 0.1213 0.0000 0.2444
Sr2 Sr 0.2502 0.7544 0.8282
Sr3 Sr 0.2623 0.4240 0.3311
Sr4 Sr 0.2777 0.1602 0.7505
Sr5 Sr 0.7223 0.6602 0.2495
Sr6 Sr 0.7377 0.9240 0.6689
Sr7 Sr 0.7498 0.2544 0.1718
Sr8 Sr 0.8787 0.5000 0.7556
La1 La 0.3348 0.6974 0.4459
La2 La 0.3481 0.4760 0.9445
La3 La 0.6519 0.9760 0.0555
La4 La 0.6652 0.1974 0.5541
I1 I 0.0344 0.6042 0.9423
I2 I 0.0378 0.5624 0.4385
I3 I 0.0733 0.8467 0.3880
I4 I 0.1044 0.2171 0.3122
I5 I 0.1098 0.3165 0.8681
I6 I 0.1107 0.9647 0.8082
I7 I 0.2878 0.5474 0.7444
I8 I 0.3232 0.6246 0.2439
I9 I 0.3364 0.8965 0.1065
I10 I 0.3884 0.3103 0.6136
I11 I 0.3876 0.3758 0.1311
I12 I 0.3920 0.7937 0.6355
I13 I 0.4407 0.0317 0.5057
I14 I 0.4754 0.1544 0.9865
I15 I 0.5246 0.6544 0.0135
I16 I 0.5593 0.5317 0.4943
I17 I 0.6080 0.2937 0.3645
I18 I 0.6116 0.8103 0.3864
I19 I 0.6124 0.8758 0.8689
I20 I 0.6636 0.3965 0.8935
I21 I 0.6768 0.1246 0.7561
I22 I 0.7122 0.0474 0.2556
I23 I 0.8893 0.4647 0.1918
I24 I 0.8902 0.8165 0.1319
I25 I 0.8956 0.7171 0.6878
I26 I 0.9267 0.3467 0.6120
I27 I 0.9622 0.0624 0.5615
I28 I 0.9656 0.1042 0.0577

=====

# InH3O3 (PBE, relaxed)
# Space-group type ... R-3, No. 148
data_InH3O3
_cell_length_a 6.9967
_cell_length_b 6.9967
_cell_length_c 6.9967
_cell_angle_alpha 109.40
_cell_angle_beta 109.40
_cell_angle_gamma 109.40
_symmetry_space_group_name_H-M 'P 1'
_symmetry_Int_Tables_number 1
loop_
_symmetry_equiv_pos_as_xyz
'x,y,z'
loop_
_atom_site_label
_atom_site_type_symbol
_atom_site_fract_x
_atom_site_fract_y
_atom_site_fract_z
In1 In 0.0000 0.0000 0.0000
In2 In 0.0000 0.5000 0.5000
In3 In 0.5000 0.0000 0.5000
In4 In 0.5000 0.5000 0.0000
H1 H 0.0540 0.8805 0.3255
H2 H 0.1195 0.6745 0.9460
H3 H 0.1832 0.2295 0.5463
H4 H 0.2295 0.5463 0.1832
H5 H 0.3255 0.0540 0.8805
H6 H 0.4537 0.8168 0.7705
H7 H 0.5463 0.1832 0.2295
H8 H 0.6745 0.9460 0.1195
H9 H 0.7705 0.4537 0.8168
H10 H 0.8168 0.7705 0.4537
H11 H 0.8805 0.3255 0.0540
H12 H 0.9460 0.1195 0.6745
O1 O 0.0091 0.3318 0.1763
O2 O 0.1763 0.0091 0.3318
O3 O 0.1765 0.3472 0.6688
O4 O 0.3312 0.8235 0.6528
O5 O 0.3318 0.1763 0.0091
O6 O 0.3472 0.6688 0.1765
O7 O 0.6528 0.3312 0.8235
O8 O 0.6682 0.8237 0.9909
O9 O 0.6688 0.1765 0.3472
O10 O 0.8235 0.6528 0.3312
O11 O 0.8237 0.9909 0.6682
O12 O 0.9909 0.6682 0.8237

=====

| no. | DFT total energy (eV/atom) | formation energy from the elements (eV per formula unit) | volume (Å³/f.u.) |
| --- | --- | --- | --- |
| 1 | -3.468 | -1.876 | 115.8 |
| 2 | -3.674 | -22.500 | 452.3 |
| 3 | -7.151 | -3.102 | 77.1 |
| 4 | -4.621 | -18.648 | 613.6 |
| 5 | -5.195 | -4.412 | 172.3 |
| 6 | -7.117 | -12.396 | 123.3 |
| 7 | -6.438 | -16.947 | 161.6 |
| 8 | -7.769 | -33.924 | 151.9 |
| 9 | -6.255 | -0.345 | 52.8 |
| 10 | -3.466 | -18.330 | 467.2 |
| 11 | -5.223 | -10.850 | 66.1 |